A plane-wave DFT calculation with GGA-PBE was carried out for BaMg6Ti after structural relaxation.

Unit cell a=5.2699 b=7.0399 c=11.4142 alpha=90.00 beta=90.00 gamma=90.00
Positions (direct):
Ba  0.5000  0.5000  0.8353
Ba  0.5000  0.0000  0.3353
Mg  0.5000  0.2500  0.0838
Mg  0.5000  0.7500  0.0838
Mg  0.0000  0.2201  0.9151
Mg  0.0000  0.7799  0.9151
Mg  0.0000  0.5000  0.1717
Mg  0.0000  0.5000  0.6467
Mg  0.5000  0.7500  0.5838
Mg  0.5000  0.2500  0.5838
Mg  0.0000  0.7201  0.4151
Mg  0.0000  0.2799  0.4151
Mg  0.0000  0.0000  0.6717
Mg  0.0000  0.0000  0.1467
Ti  0.5000  0.5000  0.3485
Ti  0.5000  0.0000  0.8485

Density = 2.60 Mg/m³
DFT total energy = -2.18 eV/atom